(1)
Entry from the Materials Project database: a relaxed Ga2HgTe4 crystal (r2SCAN).

```
data_Ga2HgTe4
_cell_length_a 6.203
_cell_length_b 6.203
_cell_length_c 7.399
_cell_angle_alpha 114.78
_cell_angle_beta 114.78
_cell_angle_gamma 90.00
_symmetry_space_group_name_H-M 'P 1'
_symmetry_Int_Tables_number 1
_symmetry_space_group_name_Hall 'P 1'
loop_
_atom_site_label
_atom_site_type_symbol
_atom_site_fract_x
_atom_site_fract_y
_atom_site_fract_z
Ga1 Ga 0.500 0.500 0.000
Ga2 Ga 0.250 0.750 0.500
Hg1 Hg 0.000 0.000 0.000
Te1 Te 0.413 0.392 0.276
Te2 Te 0.608 0.137 0.724
Te3 Te 0.116 0.587 0.724
Te4 Te 0.863 0.884 0.276
```

Computed properties:
Energy relative to the elements ... -0.37 eV/atom
Energy above the lowest structure with this stoichiometry ... 0.0 meV per atom

(2)
Entry from the Materials Project database: a relaxed Ga2HgTe4 crystal (r2SCAN).

```
data_Ga2HgTe4
_cell_length_a 7.602
_cell_length_b 7.602
_cell_length_c 7.602
_cell_angle_alpha 133.55
_cell_angle_beta 133.55
_cell_angle_gamma 67.80
_symmetry_space_group_name_H-M 'P 1'
_symmetry_Int_Tables_number 1
_symmetry_space_group_name_Hall 'P 1'
loop_
_atom_site_label
_atom_site_type_symbol
_atom_site_fract_x
_atom_site_fract_y
_atom_site_fract_z
Ga1 Ga 0.750 0.250 0.500
Ga2 Ga 0.250 0.750 0.500
Hg1 Hg 0.000 0.000 0.000
Te1 Te 0.846 0.402 0.000
Te2 Te 0.402 0.846 0.000
Te3 Te 0.154 0.154 0.557
Te4 Te 0.598 0.598 0.443
```

Computed properties:
Energy relative to the elements ... -0.35 eV/atom
Energy above the lowest structure with this stoichiometry ... 14.1 meV per atom

(3)
Entry from the Materials Project database: a relaxed HoGa crystal (r2SCAN).

```
data_HoGa
_cell_length_a 4.025
_cell_length_b 4.301
_cell_length_c 5.787
_cell_angle_alpha 111.82
_cell_angle_beta 90.00
_cell_angle_gamma 90.00
_symmetry_space_group_name_H-M 'P 1'
_symmetry_Int_Tables_number 1
_symmetry_space_group_name_Hall 'P 1'
loop_
_atom_site_label
_atom_site_type_symbol
_atom_site_fract_x
_atom_site_fract_y
_atom_site_fract_z
Ho1 Ho 0.250 0.139 0.278
Ho2 Ho 0.750 0.861 0.722
Ga1 Ga 0.250 0.425 0.849
Ga2 Ga 0.750 0.575 0.151
```

Computed properties:
Energy relative to the elements ... -0.75 eV/atom

(4)
Entry from the Materials Project database: a relaxed Ho5Ga3 crystal (r2SCAN).

```
data_Ho5Ga3
_cell_length_a 8.521
_cell_length_b 8.521
_cell_length_c 6.510
_cell_angle_alpha 90.00
_cell_angle_beta 90.00
_cell_angle_gamma 120.00
_symmetry_space_group_name_H-M 'P 1'
_symmetry_Int_Tables_number 1
_symmetry_space_group_name_Hall 'P 1'
loop_
_atom_site_label
_atom_site_type_symbol
_atom_site_fract_x
_atom_site_fract_y
_atom_site_fract_z
Ho1 Ho 0.747 0.747 0.250
Ho2 Ho 0.000 0.253 0.250
Ho3 Ho 0.333 0.667 0.000
Ho4 Ho 0.253 0.253 0.750
Ho5 Ho 0.747 0.000 0.750
Ho6 Ho 0.253 0.000 0.250
Ho7 Ho 0.667 0.333 0.000
Ho8 Ho 0.000 0.747 0.750
Ho9 Ho 0.333 0.667 0.500
Ho10 Ho 0.667 0.333 0.500
Ga1 Ga 0.000 0.394 0.750
Ga2 Ga 0.606 0.000 0.250
Ga3 Ga 0.606 0.606 0.750
Ga4 Ga 0.394 0.000 0.750
Ga5 Ga 0.000 0.606 0.250
Ga6 Ga 0.394 0.394 0.250
```

Computed properties:
Energy relative to the elements ... -0.57 eV/atom
Energy above the lowest structure with this stoichiometry ... 23.2 meV per atom

(5)
Entry from the Materials Project database: a relaxed Ho5Ga3 crystal (r2SCAN).

```
data_Ho5Ga3
_cell_length_a 7.554
_cell_length_b 7.554
_cell_length_c 14.006
_cell_angle_alpha 90.00
_cell_angle_beta 90.00
_cell_angle_gamma 90.00
_symmetry_space_group_name_H-M 'P 1'
_symmetry_Int_Tables_number 1
_symmetry_space_group_name_Hall 'P 1'
loop_
_atom_site_label
_atom_site_type_symbol
_atom_site_fract_x
_atom_site_fract_y
_atom_site_fract_z
Ho1 Ho 0.000 0.500 0.769
Ho2 Ho 0.000 0.500 0.269
Ho3 Ho 0.500 0.000 0.231
Ho4 Ho 0.500 0.000 0.731
Ho5 Ho 0.680 0.658 0.603
Ho6 Ho 0.680 0.342 0.103
Ho7 Ho 0.820 0.842 0.397
Ho8 Ho 0.180 0.842 0.897
Ho9 Ho 0.320 0.342 0.603
Ho10 Ho 0.320 0.658 0.103
Ho11 Ho 0.180 0.158 0.397
Ho12 Ho 0.820 0.158 0.897
Ho13 Ho 0.658 0.320 0.397
Ho14 Ho 0.342 0.320 0.897
Ho15 Ho 0.158 0.820 0.603
Ho16 Ho 0.842 0.820 0.103
Ho17 Ho 0.342 0.680 0.397
Ho18 Ho 0.658 0.680 0.897
Ho19 Ho 0.842 0.180 0.603
Ho20 Ho 0.158 0.180 0.103
Ga1 Ga 0.000 0.500 0.494
Ga2 Ga 0.000 0.500 0.994
Ga3 Ga 0.500 0.000 0.506
Ga4 Ga 0.500 0.000 0.006
Ga5 Ga 0.877 0.877 0.750
Ga6 Ga 0.877 0.123 0.250
Ga7 Ga 0.623 0.623 0.250
Ga8 Ga 0.377 0.623 0.750
Ga9 Ga 0.123 0.123 0.750
Ga10 Ga 0.123 0.877 0.250
Ga11 Ga 0.377 0.377 0.250
Ga12 Ga 0.623 0.377 0.750
```

Computed properties:
Energy relative to the elements ... -0.60 eV/atom
Energy above the lowest structure with this stoichiometry ... 0.0 meV per atom

(6)
Entry from the Materials Project database: a relaxed HoGaNi crystal (r2SCAN).

```
data_HoGaNi
_cell_length_a 4.261
_cell_length_b 6.797
_cell_length_c 7.210
_cell_angle_alpha 90.00
_cell_angle_beta 90.00
_cell_angle_gamma 90.00
_symmetry_space_group_name_H-M 'P 1'
_symmetry_Int_Tables_number 1
_symmetry_space_group_name_Hall 'P 1'
loop_
_atom_site_label
_atom_site_type_symbol
_atom_site_fract_x
_atom_site_fract_y
_atom_site_fract_z
Ho1 Ho 0.250 0.519 0.304
Ho2 Ho 0.250 0.019 0.196
Ho3 Ho 0.750 0.981 0.804
Ho4 Ho 0.750 0.481 0.696
Ga1 Ga 0.750 0.323 0.079
Ga2 Ga 0.250 0.177 0.579
Ga3 Ga 0.750 0.823 0.421
Ga4 Ga 0.250 0.677 0.921
Ni1 Ni 0.250 0.291 0.906
Ni2 Ni 0.250 0.791 0.594
Ni3 Ni 0.750 0.709 0.094
Ni4 Ni 0.750 0.209 0.406
```

Computed properties:
Energy relative to the elements ... -0.68 eV/atom

(7)
Entry from the Materials Project database: a relaxed Ho6GaNi2 crystal (r2SCAN).

```
data_Ho6GaNi2
_cell_length_a 8.232
_cell_length_b 8.232
_cell_length_c 8.232
_cell_angle_alpha 112.16
_cell_angle_beta 109.36
_cell_angle_gamma 106.94
_symmetry_space_group_name_H-M 'P 1'
_symmetry_Int_Tables_number 1
_symmetry_space_group_name_Hall 'P 1'
loop_
_atom_site_label
_atom_site_type_symbol
_atom_site_fract_x
_atom_site_fract_y
_atom_site_fract_z
Ho1 Ho 0.431 0.234 0.197
Ho2 Ho 0.569 0.766 0.803
Ho3 Ho 0.037 0.234 0.803
Ho4 Ho 0.963 0.766 0.197
Ho5 Ho 0.180 0.285 0.465
Ho6 Ho 0.820 0.715 0.535
Ho7 Ho 0.180 0.715 0.894
Ho8 Ho 0.820 0.285 0.106
Ho9 Ho 0.327 0.634 0.306
Ho10 Ho 0.673 0.366 0.694
Ho11 Ho 0.327 0.021 0.694
Ho12 Ho 0.673 0.979 0.306
Ga1 Ga 0.500 0.500 0.000
Ga2 Ga 0.000 0.000 0.000
Ni1 Ni 0.350 0.000 0.350
Ni2 Ni 0.650 0.000 0.650
Ni3 Ni 0.122 0.622 0.500
Ni4 Ni 0.878 0.378 0.500
```

Computed properties:
Energy relative to the elements ... -0.39 eV/atom

(8)
Entry from the Materials Project database: a relaxed Ho4Ga12Ni crystal (r2SCAN).

```
data_Ho4Ga12Ni
_cell_length_a 7.337
_cell_length_b 7.337
_cell_length_c 7.337
_cell_angle_alpha 109.47
_cell_angle_beta 109.47
_cell_angle_gamma 109.47
_symmetry_space_group_name_H-M 'P 1'
_symmetry_Int_Tables_number 1
_symmetry_space_group_name_Hall 'P 1'
loop_
_atom_site_label
_atom_site_type_symbol
_atom_site_fract_x
_atom_site_fract_y
_atom_site_fract_z
Ho1 Ho 0.000 0.000 0.500
Ho2 Ho 0.000 0.500 0.000
Ho3 Ho 0.500 0.000 0.000
Ho4 Ho 0.500 0.500 0.500
Ga1 Ga 0.750 0.250 0.500
Ga2 Ga 0.750 0.500 0.250
Ga3 Ga 0.500 0.250 0.750
Ga4 Ga 0.250 0.500 0.750
Ga5 Ga 0.250 0.750 0.500
Ga6 Ga 0.500 0.750 0.250
Ga7 Ga 0.712 0.712 0.000
Ga8 Ga 0.288 0.000 0.288
Ga9 Ga 0.000 0.288 0.288
Ga10 Ga 0.288 0.288 0.000
Ga11 Ga 0.712 0.000 0.712
Ga12 Ga 0.000 0.712 0.712
Ni1 Ni 0.000 0.000 0.000
```

Computed properties:
Energy relative to the elements ... -0.60 eV/atom

(9)
Entry from the Materials Project database: a relaxed Ho2GaNi2 crystal (r2SCAN).

```
data_Ho2GaNi2
_cell_length_a 4.166
_cell_length_b 5.270
_cell_length_c 5.270
_cell_angle_alpha 60.27
_cell_angle_beta 66.72
_cell_angle_gamma 66.72
_symmetry_space_group_name_H-M 'P 1'
_symmetry_Int_Tables_number 1
_symmetry_space_group_name_Hall 'P 1'
loop_
_atom_site_label
_atom_site_type_symbol
_atom_site_fract_x
_atom_site_fract_y
_atom_site_fract_z
Ho1 Ho 0.202 0.298 0.298
Ho2 Ho 0.798 0.702 0.702
Ga1 Ga 0.000 0.000 0.000
Ni1 Ni 0.500 0.267 0.733
Ni2 Ni 0.500 0.733 0.267
```

Computed properties:
Energy relative to the elements ... -0.60 eV/atom

(10)
Entry from the Materials Project database: a relaxed Ho3GaO6 crystal (r2SCAN).

```
data_Ho3GaO6
_cell_length_a 7.041
_cell_length_b 7.041
_cell_length_c 5.377
_cell_angle_alpha 90.00
_cell_angle_beta 90.00
_cell_angle_gamma 102.85
_symmetry_space_group_name_H-M 'P 1'
_symmetry_Int_Tables_number 1
_symmetry_space_group_name_Hall 'P 1'
loop_
_atom_site_label
_atom_site_type_symbol
_atom_site_fract_x
_atom_site_fract_y
_atom_site_fract_z
Ho1 Ho 0.398 0.602 0.928
Ho2 Ho 0.602 0.398 0.428
Ho3 Ho 0.299 0.088 0.976
Ho4 Ho 0.701 0.912 0.476
Ho5 Ho 0.912 0.701 0.976
Ho6 Ho 0.088 0.299 0.476
Ga1 Ga 0.193 0.807 0.506
Ga2 Ga 0.807 0.193 0.006
O1 O 0.216 0.784 0.168
O2 O 0.784 0.216 0.668
O3 O 0.038 0.962 0.651
O4 O 0.962 0.038 0.151
O5 O 0.357 0.323 0.703
O6 O 0.643 0.677 0.203
O7 O 0.677 0.643 0.703
O8 O 0.323 0.357 0.203
O9 O 0.894 0.423 0.186
O10 O 0.106 0.577 0.686
O11 O 0.577 0.106 0.186
O12 O 0.423 0.894 0.686
```

Computed properties:
Energy relative to the elements ... -3.51 eV/atom